Li2VCrP2H2O10 | PBE+U | optimized geometry

Structure (POSCAR):
```
Li2VCrP2H2O10
1.0
5.413 0.000 0.000
-2.069 7.066 0.000
-1.208 -1.278 14.208
Li V Cr P H O
6 3 3 6 6 30
Direct
0.018 0.093 0.416
0.315 0.240 0.918
0.351 0.426 0.749
0.649 0.574 0.251
0.685 0.760 0.082
0.982 0.907 0.584
0.167 0.667 0.167
0.500 0.500 0.500
0.833 0.333 0.833
0.166 0.167 0.167
0.500 0.000 0.500
0.834 0.833 0.833
0.032 0.661 0.393
0.303 0.675 0.940
0.365 0.992 0.726
0.635 0.008 0.274
0.697 0.325 0.060
0.968 0.339 0.607
0.105 0.887 0.046
0.228 0.446 0.287
0.438 0.217 0.380
0.562 0.783 0.620
0.772 0.554 0.713
0.895 0.113 0.954
0.036 0.718 0.290
0.066 0.890 0.113
0.075 0.890 0.731
0.123 0.843 0.463
0.128 0.806 0.924
0.203 0.527 0.408
0.211 0.491 0.870
0.257 0.444 0.601
0.267 0.443 0.220
0.298 0.617 0.042
0.372 0.051 0.623
0.397 0.220 0.446
0.407 0.223 0.065
0.455 0.176 0.796
0.461 0.139 0.258
0.539 0.861 0.742
0.545 0.824 0.204
0.593 0.777 0.935
0.603 0.780 0.554
0.628 0.949 0.377
0.702 0.383 0.958
0.733 0.557 0.780
0.743 0.556 0.399
0.789 0.509 0.130
0.797 0.473 0.592
0.872 0.194 0.076
0.877 0.157 0.537
0.925 0.110 0.269
0.934 0.110 0.887
0.964 0.282 0.710
```

Magnetic moment ... 5.0 μB per formula unit
Space-group type ... P-1
Crystal system ... triclinic
Formation energy from the elements ... -44.38 eV/f.u.
Uncorrected energy ... -6.86 eV per atom
Energy above the lowest structure with this stoichiometry ... 0.002 eV per atom